A relaxed VReO4 crystal, computed with PBE+U.

POSCAR file:
```
VReO4
1.0
4.7645 -2.8603 0.0000
4.7645 2.8603 0.0000
-0.1236 0.0000 4.7925
V Re O
2 2 8
Cartesian
2.2457 0.0000 0.0541
7.1597 0.0000 4.7384
4.7027 1.2533 2.3962
4.7027 -1.2533 2.3962
0.8475 0.0000 1.4964
3.3819 1.3749 1.0052
3.5657 0.0000 3.4449
6.0236 1.3749 3.7872
3.3819 -1.3749 1.0052
5.8397 0.0000 1.3476
6.0236 -1.3749 3.7872
8.5579 0.0000 3.2961
```

Summary:
E_form	-2231	meV/atom
distance to the lowest polymorph of the same formula	8	meV/atom